Material: HfTl4Te4
Method: DFT, meta-GGA r2SCAN
State: optimized geometry

Cell and atoms, written as POSCAR:
```
HfTl4Te4
1.0
2.1854 9.1065 -2.9646
-9.3274 -0.2899 -3.0679
-1.6853 1.9597 9.4768
Hf Tl Te
3 12 12
direct
0.7550 0.7550 0.7550
0.5000 0.5000 0.5000
0.2450 0.2450 0.2450
0.0110 0.3290 0.8821
0.8821 0.0110 0.3290
0.3290 0.8821 0.0109
0.3646 0.5331 0.8686
0.1179 0.9890 0.6710
0.1314 0.6354 0.4669
0.5332 0.8686 0.3646
0.9890 0.6710 0.1179
0.6354 0.4668 0.1315
0.4668 0.1315 0.6354
0.8685 0.3646 0.5332
0.6710 0.1179 0.9890
0.7597 0.6565 0.4529
0.6565 0.4528 0.7596
0.7065 0.8052 0.0346
0.2405 0.3435 0.5472
0.3434 0.5471 0.2403
0.8052 0.0346 0.7064
0.1948 0.9654 0.2935
0.9654 0.2935 0.1947
0.4529 0.7597 0.6566
0.0346 0.7065 0.8053
0.2935 0.1947 0.9654
0.5472 0.2405 0.3435
```

Output
DFT formation energy: -0.59 eV per atom
volume: 914.82 Å³ per cell